Entry 1:
Entry from Materials Project: crystalline Na10Mg4Si5Sn4S7O48 at its relaxed geometry (PBE).

```
data_Na10Mg4Si5Sn4S7O48
_cell_length_a 8.914
_cell_length_b 15.572
_cell_length_c 22.632
_cell_angle_alpha 90.29
_cell_angle_beta 90.25
_cell_angle_gamma 90.12
_symmetry_space_group_name_H-M 'P 1'
_symmetry_Int_Tables_number 1
_symmetry_space_group_name_Hall 'P 1'
loop_
_atom_site_label
_atom_site_type_symbol
_atom_site_fract_x
_atom_site_fract_y
_atom_site_fract_z
Na1 Na 0.000 0.000 0.000
Na2 Na 0.001 0.335 0.333
Na3 Na 0.125 0.828 0.588
Na4 Na 0.131 0.157 0.918
Na5 Na 0.140 0.497 0.754
Na6 Na 0.140 0.500 0.254
Na7 Na 0.153 0.152 0.419
Na8 Na 0.165 0.823 0.091
Na9 Na 0.270 0.999 0.499
Na10 Na 0.278 0.335 0.833
Na11 Na 0.310 0.678 0.508
Na12 Na 0.338 0.319 0.512
Na13 Na 0.444 0.480 0.671
Na14 Na 0.501 0.835 0.332
Na15 Na 0.509 0.500 0.999
Na16 Na 0.622 0.655 0.921
Na17 Na 0.625 0.328 0.588
Na18 Na 0.625 0.990 0.254
Na19 Na 0.640 0.997 0.753
Na20 Na 0.644 0.330 0.084
Na21 Na 0.652 0.654 0.419
Na22 Na 0.770 0.500 0.499
Na23 Na 0.778 0.833 0.833
Na24 Na 0.779 0.167 0.167
Na25 Na 0.809 0.177 0.509
Na26 Na 0.835 0.482 0.170
Na27 Na 0.839 0.819 0.512
Na28 Na 0.941 0.321 0.011
Na29 Na 0.944 0.980 0.671
Na30 Na 0.969 0.677 0.010
Mg1 Mg 0.132 0.839 0.443
Mg2 Mg 0.136 0.502 0.109
Mg3 Mg 0.137 0.165 0.777
Mg4 Mg 0.144 0.500 0.609
Mg5 Mg 0.145 0.163 0.277
Mg6 Mg 0.148 0.834 0.942
Mg7 Mg 0.633 0.339 0.443
Mg8 Mg 0.635 0.996 0.111
Mg9 Mg 0.637 0.664 0.777
Mg10 Mg 0.643 0.667 0.276
Mg11 Mg 0.644 0.000 0.609
Mg12 Mg 0.644 0.337 0.944
Si1 Si 0.000 0.316 0.180
Si2 Si 0.279 0.315 0.679
Si3 Si 0.283 0.651 0.011
Si4 Si 0.285 0.985 0.346
Si5 Si 0.431 0.500 0.511
Si6 Si 0.494 0.485 0.845
Si7 Si 0.497 0.148 0.511
Si8 Si 0.499 0.816 0.179
Si9 Si 0.779 0.815 0.679
Si10 Si 0.780 0.148 0.013
Si11 Si 0.786 0.486 0.345
Si12 Si 0.847 0.500 0.011
Si13 Si 0.931 0.000 0.511
Si14 Si 0.996 0.648 0.511
Si15 Si 0.999 0.984 0.845
Sn1 Sn 0.129 0.833 0.741
Sn2 Sn 0.133 0.169 0.076
Sn3 Sn 0.135 0.509 0.408
Sn4 Sn 0.145 0.508 0.909
Sn5 Sn 0.150 0.166 0.575
Sn6 Sn 0.157 0.836 0.240
Sn7 Sn 0.627 0.333 0.742
Sn8 Sn 0.627 0.669 0.074
Sn9 Sn 0.635 0.008 0.408
Sn10 Sn 0.646 0.338 0.242
Sn11 Sn 0.650 0.005 0.907
Sn12 Sn 0.650 0.666 0.575
S1 S 0.286 0.352 0.009
S2 S 0.286 0.687 0.342
S3 S 0.290 0.019 0.677
S4 S 0.347 0.333 0.342
S5 S 0.347 0.669 0.676
S6 S 0.350 0.001 0.009
S7 S 0.429 0.834 0.843
S8 S 0.430 0.167 0.177
S9 S 0.489 0.520 0.176
S10 S 0.494 0.187 0.843
S11 S 0.494 0.854 0.509
S12 S 0.785 0.855 0.008
S13 S 0.786 0.187 0.342
S14 S 0.791 0.519 0.677
S15 S 0.847 0.169 0.676
S16 S 0.850 0.833 0.342
S17 S 0.930 0.333 0.842
S18 S 0.933 0.669 0.176
S19 S 0.993 0.686 0.842
S20 S 0.994 0.019 0.176
S21 S 0.994 0.354 0.509
O1 O 0.011 0.255 0.118
O2 O 0.012 0.921 0.784
O3 O 0.020 0.409 0.560
O4 O 0.023 0.739 0.895
O5 O 0.025 0.750 0.183
O6 O 0.027 0.075 0.225
O7 O 0.027 0.412 0.846
O8 O 0.029 0.593 0.171
O9 O 0.031 0.258 0.836
O10 O 0.032 0.092 0.516
O11 O 0.043 0.919 0.504
O12 O 0.058 0.931 0.180
O13 O 0.058 0.936 0.903
O14 O 0.059 0.265 0.237
O15 O 0.060 0.599 0.844
O16 O 0.063 0.266 0.514
O17 O 0.063 0.413 0.173
O18 O 0.067 0.053 0.119
O19 O 0.067 0.078 0.835
O20 O 0.068 0.388 0.453
O21 O 0.068 0.724 0.788
O22 O 0.070 0.601 0.566
O23 O 0.072 0.742 0.501
O24 O 0.201 0.743 0.001
O25 O 0.208 0.603 0.065
O26 O 0.210 0.385 0.954
O27 O 0.211 0.052 0.621
O28 O 0.211 0.724 0.289
O29 O 0.213 0.264 0.014
O30 O 0.215 0.078 0.335
O31 O 0.215 0.412 0.672
O32 O 0.217 0.931 0.681
O33 O 0.218 0.599 0.344
O34 O 0.220 0.267 0.737
O35 O 0.227 0.937 0.404
O36 O 0.248 0.258 0.336
O37 O 0.248 0.927 0.002
O38 O 0.250 0.593 0.670
O39 O 0.251 0.412 0.346
O40 O 0.252 0.081 0.014
O41 O 0.254 0.750 0.682
O42 O 0.255 0.073 0.727
O43 O 0.255 0.738 0.396
O44 O 0.258 0.406 0.060
O45 O 0.259 0.259 0.616
O46 O 0.270 0.919 0.287
O47 O 0.277 0.588 0.950
O48 O 0.299 0.483 0.846
O49 O 0.307 0.821 0.177
O50 O 0.309 0.159 0.512
O51 O 0.328 0.510 0.168
O52 O 0.329 0.521 0.450
O53 O 0.330 0.181 0.836
O54 O 0.330 0.841 0.501
O55 O 0.333 0.482 0.568
O56 O 0.335 0.156 0.227
O57 O 0.336 0.823 0.894
O58 O 0.340 0.848 0.787
O59 O 0.342 0.182 0.120
O60 O 0.433 0.683 0.619
O61 O 0.439 0.015 0.953
O62 O 0.440 0.346 0.287
O63 O 0.441 0.322 0.395
O64 O 0.445 0.990 0.060
O65 O 0.448 0.342 0.001
O66 O 0.448 0.656 0.726
O67 O 0.450 0.681 0.336
O68 O 0.451 0.011 0.668
O69 O 0.470 0.654 0.012
O70 O 0.473 0.325 0.678
O71 O 0.479 0.983 0.346
O72 O 0.501 0.086 0.451
O73 O 0.508 0.422 0.783
O74 O 0.520 0.755 0.118
O75 O 0.520 0.908 0.560
O76 O 0.525 0.573 0.228
O77 O 0.527 0.240 0.894
O78 O 0.527 0.915 0.848
O79 O 0.528 0.247 0.181
O80 O 0.532 0.093 0.170
O81 O 0.532 0.592 0.516
O82 O 0.532 0.761 0.836
O83 O 0.544 0.419 0.503
O84 O 0.554 0.434 0.902
O85 O 0.558 0.097 0.847
O86 O 0.559 0.771 0.238
O87 O 0.563 0.431 0.181
O88 O 0.563 0.766 0.514
O89 O 0.564 0.578 0.835
O90 O 0.568 0.220 0.788
O91 O 0.568 0.553 0.121
O92 O 0.568 0.888 0.454
O93 O 0.568 0.911 0.169
O94 O 0.570 0.101 0.566
O95 O 0.572 0.242 0.501
O96 O 0.711 0.552 0.621
O97 O 0.712 0.889 0.952
O98 O 0.714 0.224 0.286
O99 O 0.715 0.578 0.334
O100 O 0.715 0.912 0.672
O101 O 0.717 0.431 0.681
O102 O 0.718 0.099 0.344
O103 O 0.720 0.243 0.002
O104 O 0.720 0.767 0.737
O105 O 0.721 0.101 0.072
O106 O 0.723 0.766 0.013
O107 O 0.726 0.435 0.401
O108 O 0.734 0.420 0.003
O109 O 0.748 0.592 0.017
O110 O 0.749 0.758 0.336
O111 O 0.750 0.093 0.670
O112 O 0.752 0.912 0.346
O113 O 0.754 0.240 0.394
O114 O 0.754 0.249 0.682
O115 O 0.755 0.573 0.727
O116 O 0.755 0.910 0.058
O117 O 0.758 0.758 0.616
O118 O 0.772 0.083 0.954
O119 O 0.773 0.422 0.283
O120 O 0.804 0.320 0.179
O121 O 0.804 0.982 0.845
O122 O 0.808 0.659 0.513
O123 O 0.829 0.022 0.450
O124 O 0.830 0.014 0.168
O125 O 0.830 0.681 0.835
O126 O 0.831 0.342 0.501
O127 O 0.832 0.655 0.226
O128 O 0.833 0.982 0.568
O129 O 0.837 0.346 0.787
O130 O 0.838 0.322 0.895
O131 O 0.847 0.683 0.119
O132 O 0.933 0.183 0.619
O133 O 0.941 0.822 0.395
O134 O 0.944 0.846 0.287
O135 O 0.946 0.481 0.068
O136 O 0.948 0.155 0.726
O137 O 0.949 0.182 0.335
O138 O 0.949 0.847 0.001
O139 O 0.950 0.521 0.951
O140 O 0.951 0.511 0.668
O141 O 0.972 0.825 0.678
O142 O 0.976 0.153 0.013
O143 O 0.980 0.483 0.346
O144 O 0.999 0.586 0.451
```

Properties
For the final energy, the calculation gives -6.139 eV per atom. The density comes out at 3.1 g/cm³. Its formation enthalpy at 0 K is -2340 meV/atom.

Entry 2:
Entry from Materials Project: crystalline Na8MgSi5Sn3SO24 at its relaxed geometry (PBE).

```
data_Na8MgSi5Sn3SO24
_cell_length_a 9.134
_cell_length_b 9.147
_cell_length_c 22.496
_cell_angle_alpha 89.36
_cell_angle_beta 89.19
_cell_angle_gamma 60.07
_symmetry_space_group_name_H-M 'P 1'
_symmetry_Int_Tables_number 1
_symmetry_space_group_name_Hall 'P 1'
loop_
_atom_site_label
_atom_site_type_symbol
_atom_site_fract_x
_atom_site_fract_y
_atom_site_fract_z
Na1 Na 0.000 0.000 0.000
Na2 Na 0.000 0.251 0.507
Na3 Na 0.025 0.301 0.167
Na4 Na 0.025 0.925 0.670
Na5 Na 0.283 0.657 0.174
Na6 Na 0.291 0.291 0.670
Na7 Na 0.315 0.969 0.089
Na8 Na 0.325 0.959 0.583
Na9 Na 0.327 0.595 0.834
Na10 Na 0.330 0.322 0.344
Na11 Na 0.346 0.253 0.002
Na12 Na 0.358 0.636 0.503
Na13 Na 0.614 0.993 0.503
Na14 Na 0.629 0.624 0.999
Na15 Na 0.650 0.293 0.426
Na16 Na 0.657 0.659 0.670
Na17 Na 0.663 0.293 0.915
Na18 Na 0.667 0.917 0.173
Na19 Na 0.678 0.605 0.343
Na20 Na 0.684 0.962 0.834
Na21 Na 0.959 0.318 0.836
Na22 Na 0.959 0.951 0.339
Na23 Na 0.990 0.625 0.751
Na24 Na 0.990 0.632 0.251
Mg1 Mg 0.314 0.968 0.931
Mg2 Mg 0.338 0.948 0.444
Mg3 Mg 0.994 0.615 0.111
Si1 Si 0.029 0.959 0.841
Si2 Si 0.284 0.330 0.505
Si3 Si 0.324 0.665 0.340
Si4 Si 0.329 0.248 0.839
Si5 Si 0.362 0.292 0.170
Si6 Si 0.364 0.586 0.671
Si7 Si 0.611 0.668 0.841
Si8 Si 0.618 0.958 0.339
Si9 Si 0.658 0.586 0.172
Si10 Si 0.658 0.999 0.672
Si11 Si 0.700 0.624 0.505
Si12 Si 0.951 0.291 0.671
Si13 Si 0.956 0.994 0.173
Si14 Si 0.991 0.924 0.506
Si15 Si 0.994 0.328 0.008
Sn1 Sn 0.323 0.958 0.737
Sn2 Sn 0.332 0.948 0.236
Sn3 Sn 0.649 0.292 0.271
Sn4 Sn 0.656 0.293 0.569
Sn5 Sn 0.657 0.292 0.772
Sn6 Sn 0.668 0.293 0.076
Sn7 Sn 0.987 0.616 0.899
Sn8 Sn 0.990 0.637 0.408
Sn9 Sn 0.992 0.625 0.606
S1 S 0.033 0.249 0.338
S2 S 0.282 0.625 0.006
S3 S 0.700 0.917 0.007
O1 O 0.010 0.787 0.847
O2 O 0.014 0.421 0.341
O3 O 0.020 0.421 0.063
O4 O 0.029 0.800 0.563
O5 O 0.105 0.994 0.899
O6 O 0.110 0.145 0.390
O7 O 0.137 0.175 0.282
O8 O 0.138 0.121 0.677
O9 O 0.139 0.988 0.178
O10 O 0.149 0.915 0.781
O11 O 0.155 0.639 0.342
O12 O 0.156 0.943 0.498
O13 O 0.158 0.139 0.002
O14 O 0.159 0.441 0.843
O15 O 0.165 0.416 0.564
O16 O 0.176 0.603 0.667
O17 O 0.176 0.650 0.058
O18 O 0.181 0.459 0.165
O19 O 0.204 0.452 0.444
O20 O 0.207 0.597 0.951
O21 O 0.280 0.783 0.278
O22 O 0.284 0.172 0.781
O23 O 0.299 0.148 0.499
O24 O 0.307 0.773 0.000
O25 O 0.347 0.773 0.677
O26 O 0.348 0.120 0.177
O27 O 0.359 0.749 0.395
O28 O 0.366 0.137 0.899
O29 O 0.443 0.467 0.731
O30 O 0.444 0.329 0.228
O31 O 0.454 0.466 0.010
O32 O 0.469 0.321 0.509
O33 O 0.484 0.771 0.175
O34 O 0.486 0.505 0.613
O35 O 0.487 0.982 0.677
O36 O 0.490 0.247 0.110
O37 O 0.493 0.001 0.395
O38 O 0.496 0.272 0.833
O39 O 0.499 0.475 0.332
O40 O 0.501 0.746 0.900
O41 O 0.516 0.789 0.501
O42 O 0.531 0.932 0.001
O43 O 0.535 0.786 0.781
O44 O 0.541 0.922 0.277
O45 O 0.609 0.512 0.113
O46 O 0.617 0.120 0.613
O47 O 0.636 0.477 0.834
O48 O 0.646 0.126 0.332
O49 O 0.679 0.092 0.009
O50 O 0.688 0.449 0.509
O51 O 0.698 0.077 0.731
O52 O 0.698 0.460 0.230
O53 O 0.783 0.814 0.059
O54 O 0.785 0.659 0.563
O55 O 0.802 0.651 0.842
O56 O 0.807 0.844 0.951
O57 O 0.808 0.783 0.342
O58 O 0.811 0.315 0.009
O59 O 0.816 0.108 0.510
O60 O 0.821 0.608 0.166
O61 O 0.823 0.579 0.444
O62 O 0.827 0.811 0.667
O63 O 0.832 0.332 0.731
O64 O 0.833 0.083 0.231
O65 O 0.840 0.127 0.833
O66 O 0.861 0.267 0.332
O67 O 0.870 0.251 0.613
O68 O 0.880 0.115 0.112
O69 O 0.943 0.851 0.446
O70 O 0.948 0.453 0.947
O71 O 0.968 0.462 0.667
O72 O 0.972 0.812 0.164
```

Properties
For the final energy, the calculation gives -6.298 eV per atom. The density comes out at 3.4 g/cm³. Its formation enthalpy at 0 K is -2542 meV/atom.